The following is a PBE with a Hubbard U calculation of a geometry-optimized MgVBiO6 structure, from the Materials Project database.

total energy	-112.50	eV for the cell shown

a b c (Å): 7.2433 5.8449 7.8397
angles (deg): 90.00 103.97 90.00
Last column: nearest neighbours and their distance in Å.
Space group P2_1/m (No. 11)
Inequivalent atoms, fractional coordinates:
Mg 0.0866 0.2500 0.2820 (multiplicity 2)  5 O 1.98-2.18
V 0.1935 0.2500 0.8500 (multiplicity 2)  3 O 1.69-1.71
Bi 0.4867 0.7500 0.3974 (multiplicity 2)  5 O 2.06-2.18
O 0.0925 0.0125 0.7386 (multiplicity 4)  1 V 1.71
O 0.1734 0.2500 0.0607 (multiplicity 2)  1 V 1.69
O 0.3086 0.0259 0.4312 (multiplicity 4)  2 Bi 2.12-2.18, 1 Mg 2.18
O 0.4548 0.2500 0.8476 (multiplicity 2)  1 V 1.90, 1 Bi 2.06